[1]
VASP calculation (PBE) on crystalline LiLa7Cu2O14 at its relaxed geometry.

a = 11.6156 Å, b = 11.6156 Å, c = 11.8767 Å
α = 65.82°, β = 65.82°, γ = 68.90°
Closest atoms and distances in Å follow each position.
Sites, in units of the cell vectors:
O (0.3232, 0.3232, 0.3928)  1 Cu 1.84, 1 Li 1.91
O (0.6768, 0.6768, 0.6072)  1 Cu 1.84, 1 Li 1.91
O (0.9578, 0.3279, 0.7857)  1 La 2.30, 1 Cu 2.43
O (0.7531, 0.7531, 0.2496)  1 Cu 1.83
O (0.8197, 0.8197, 0.8942)  1 Cu 1.85, 1 Li 1.91
O (0.1045, 0.1045, 0.4657)  1 Cu 1.83, 1 Li 1.92
O (0.1079, 0.1079, 0.9601)  1 Cu 1.83, 1 Li 1.92
O (0.1780, 0.1780, 0.6110)  1 Cu 1.83, 1 Li 1.91
O (0.6128, 0.2445, 0.3559)  1 La 2.34, 1 Cu 2.42
O (0.3209, 0.6791, 0.0000)  1 Cu 2.35, 1 La 2.38
O (0.4579, 0.8287, 0.2838)  1 La 2.32
O (0.2507, 0.2507, 0.2472)  1 Cu 1.84, 1 Li 1.91
O (0.9652, 0.9652, 0.6744)  1 Cu 1.83, 1 Li 1.93
O (0.7555, 0.3872, 0.6441)  1 La 2.34, 1 Cu 2.42
O (0.6080, 0.6080, 0.9647)  2 Cu 1.86-1.90
O (0.2445, 0.6128, 0.3559)  1 La 2.34, 1 Cu 2.42
O (0.8220, 0.8220, 0.3890)  1 Cu 1.83, 1 Li 1.91
O (0.6055, 0.9657, 0.5725)  1 Li 2.37, 1 La 2.40
O (0.0373, 0.0373, 0.8216)  1 Cu 1.84, 1 Li 1.91
O (0.5421, 0.1713, 0.7162)  1 La 2.32
O (0.3279, 0.9578, 0.7857)  1 La 2.30, 1 Cu 2.43
O (0.4646, 0.4646, 0.1790)  2 Cu 1.87-1.88
O (0.3936, 0.3936, 0.5316)  1 Cu 1.84
O (0.9627, 0.9627, 0.1784)  1 Cu 1.84, 1 Li 1.91
O (0.6791, 0.3209, 0.0000)  1 Cu 2.35, 1 La 2.38
O (0.0343, 0.3945, 0.4275)  1 Li 2.37, 1 La 2.40
O (0.7496, 0.1088, 0.8563)  1 Li 2.36, 1 La 2.37
O (0.5325, 0.5325, 0.3224)  1 Cu 1.83
O (0.3945, 0.0343, 0.4275)  1 Li 2.37, 1 La 2.40
O (0.1713, 0.5421, 0.7162)  1 La 2.32
O (0.9657, 0.6055, 0.5725)  1 Li 2.37, 1 La 2.40
O (0.2469, 0.2469, 0.7504)  1 Cu 1.83
O (0.8287, 0.4579, 0.2838)  1 La 2.32
O (0.6794, 0.6794, 0.1022)  1 Cu 1.83
O (0.8140, 0.1860, 0.5000)  1 La 2.36, 1 Cu 2.45
O (0.5290, 0.8978, 0.9293)  1 La 2.36, 1 Cu 2.42
O (0.8955, 0.8955, 0.5343)  1 Cu 1.83, 1 Li 1.92
O (0.2504, 0.8912, 0.1437)  1 Li 2.36, 1 La 2.37
O (0.8912, 0.2504, 0.1437)  1 Li 2.36, 1 La 2.37
O (0.1860, 0.8140, 0.5000)  1 La 2.36, 1 Cu 2.45
O (0.7493, 0.7493, 0.7528)  1 Cu 1.84, 1 Li 1.91
O (0.1803, 0.1803, 0.1058)  1 Cu 1.85, 1 Li 1.91
O (0.0348, 0.0348, 0.3256)  1 Cu 1.83, 1 Li 1.93
O (0.6721, 0.0422, 0.2143)  1 La 2.30, 1 Cu 2.43
O (0.8978, 0.5290, 0.9293)  1 La 2.36, 1 Cu 2.42
O (0.5354, 0.5354, 0.8210)  2 Cu 1.87-1.88
O (0.3920, 0.3920, 0.0353)  2 Cu 1.86-1.90
O (0.1088, 0.7496, 0.8563)  1 Li 2.36, 1 La 2.37
O (0.4675, 0.4675, 0.6776)  1 Cu 1.83
O (0.3872, 0.7555, 0.6441)  1 La 2.34, 1 Cu 2.42
O (0.0422, 0.6721, 0.2143)  1 La 2.30, 1 Cu 2.43
O (0.1022, 0.4710, 0.0707)  1 La 2.36, 1 Cu 2.42
O (0.6064, 0.6064, 0.4684)  1 Cu 1.84
O (0.3206, 0.3206, 0.8978)  1 Cu 1.83
O (0.4710, 0.1022, 0.0707)  1 La 2.36, 1 Cu 2.42
O (0.8921, 0.8921, 0.0399)  1 Cu 1.83, 1 Li 1.92
La (0.4949, 0.2144, 0.2180)  1 O 2.30
La (0.7856, 0.5051, 0.7820)  1 O 2.30
La (0.5662, 0.2853, 0.8517)  4 O 2.37-2.61
La (0.2144, 0.4949, 0.2180)  1 O 2.30
La (0.6340, 0.3660, 0.5000)  5 O 2.36-2.58
La (0.2097, 0.9336, 0.6425)  4 O 2.34-2.61
La (0.0041, 0.2807, 0.2860)  1 O 2.32
La (0.1397, 0.8603, 0.0000)  5 O 2.38-2.63
La (0.2807, 0.0041, 0.2860)  1 O 2.32
La (0.7193, 0.9959, 0.7140)  1 O 2.32
La (0.4338, 0.7147, 0.1483)  4 O 2.37-2.61
La (0.8500, 0.5753, 0.4258)  5 O 2.40-2.63
La (0.7903, 0.0664, 0.3575)  4 O 2.34-2.61
La (0.6475, 0.9193, 0.0752)  5 O 2.36-2.61
La (0.3660, 0.6340, 0.5000)  5 O 2.36-2.58
La (0.2853, 0.5662, 0.8517)  4 O 2.37-2.61
La (0.0664, 0.7903, 0.3575)  4 O 2.34-2.61
La (0.9959, 0.7193, 0.7140)  1 O 2.32
La (0.8603, 0.1397, 0.0000)  5 O 2.38-2.63
La (0.0807, 0.3525, 0.9248)  5 O 2.36-2.61
La (0.5753, 0.8500, 0.4258)  5 O 2.40-2.63
La (0.5051, 0.7856, 0.7820)  1 O 2.30
La (0.7147, 0.4338, 0.1483)  4 O 2.37-2.61
La (0.3525, 0.0807, 0.9248)  5 O 2.36-2.61
La (0.9336, 0.2097, 0.6425)  4 O 2.34-2.61
La (0.4247, 0.1500, 0.5742)  5 O 2.40-2.63
La (0.9193, 0.6475, 0.0752)  5 O 2.36-2.61
La (0.1500, 0.4247, 0.5742)  5 O 2.40-2.63
Li (0.9286, 0.9286, 0.8575)  4 O 1.91-1.93
Li (0.2143, 0.2143, 0.4292)  4 O 1.91-1.92
Li (0.0714, 0.0714, 0.1425)  4 O 1.91-1.93
Li (0.7857, 0.7857, 0.5708)  4 O 1.91-1.92
Cu (0.2855, 0.2855, 0.0720)  4 O 1.83-1.86
Cu (0.4283, 0.4283, 0.3568)  4 O 1.83-1.87
Cu (0.5000, 0.5000, 0.0000)  4 O 1.88-1.90
Cu (0.7145, 0.7145, 0.9280)  4 O 1.83-1.86
Cu (0.5717, 0.5717, 0.6432)  4 O 1.83-1.87
Cu (0.8575, 0.8575, 0.2143)  4 O 1.83-1.84
Cu (0.1425, 0.1425, 0.7857)  4 O 1.83-1.84
Cu (0.0000, 0.0000, 0.5000)  4 O 1.83

mass density = 6.810 Mg/m³
energy relative to the elements = -75.1 eV/f.u.
electronic total energy = -717.70 eV/cell

---

[2]
VASP calculation (PBE) on crystalline Li3La14Cu4O28 at its relaxed geometry.

a = 11.6234 Å, b = 11.6234 Å, c = 11.8880 Å
α = 65.80°, β = 114.20°, γ = 111.06°
Closest atoms and distances in Å follow each position.
Sites, in units of the cell vectors:
O (0.8918, 0.7485, 0.3572)  1 La 2.37, 1 Li 2.37
O (0.6147, 0.7568, 0.1432)  1 La 2.32, 1 Cu 2.44
O (0.6056, 0.0342, 0.9294)  1 Li 2.37, 1 La 2.39
O (0.5286, 0.1000, 0.5709)  1 La 2.32, 1 Cu 2.44
O (0.1083, 0.2517, 0.6424)  1 Li 2.37, 1 La 2.39
O (0.7522, 0.2478, 0.2503)  2 Cu 1.85-1.92
O (0.1810, 0.8190, 0.3931)  1 Cu 1.83, 1 Li 1.92
O (0.5358, 0.4642, 0.6808)  1 Cu 1.85, 1 Li 1.91
O (0.4635, 0.1778, 0.2143)  1 Cu 2.36, 1 La 2.39
O (0.5335, 0.4665, 0.1783)  2 Cu 1.85-1.92
O (0.3287, 0.0430, 0.7143)  1 La 2.33, 1 Cu 2.45
O (0.7483, 0.8917, 0.6424)  1 Li 2.37, 1 La 2.39
O (0.2432, 0.3853, 0.1432)  1 La 2.32, 1 Cu 2.44
O (0.3931, 0.6069, 0.9678)  1 Cu 1.84, 1 Li 1.92
O (0.1857, 0.1855, 0.0001)  1 La 2.30, 1 Cu 2.44
O (0.9658, 0.3944, 0.9294)  1 Li 2.37, 1 La 2.39
O (0.9631, 0.0369, 0.3214)  1 Cu 1.85, 1 Li 1.90
O (0.3939, 0.9658, 0.0714)  1 La 2.37, 1 Li 2.37
O (0.3858, 0.2429, 0.8576)  1 La 2.32, 1 Cu 2.44
O (0.6095, 0.3905, 0.5364)  1 Cu 1.84, 1 Li 1.92
O (0.6801, 0.6801, 0.4992)  1 Li 2.37, 1 La 2.39
O (0.0425, 0.3290, 0.2854)  1 La 2.32, 1 Cu 2.44
O (0.8195, 0.1805, 0.6073)  1 Cu 1.84, 1 Li 1.91
O (0.0384, 0.9616, 0.6792)  1 Cu 1.83, 1 Li 1.93
O (0.6791, 0.3209, 0.3965)  2 Cu 1.85-1.92
O (0.9000, 0.4714, 0.5709)  1 La 2.32, 1 Cu 2.44
O (0.6710, 0.9575, 0.2854)  1 La 2.32, 1 Cu 2.44
O (0.4663, 0.5337, 0.8213)  1 Cu 1.84, 1 Li 1.91
O (0.1777, 0.8223, 0.8883)  1 Cu 1.83, 1 Li 1.93
O (0.7499, 0.2501, 0.7478)  1 Cu 1.85, 1 Li 1.91
O (0.3206, 0.6794, 0.6026)  1 Cu 1.83, 1 Li 1.93
O (0.4713, 0.9000, 0.4284)  1 La 2.30, 1 Cu 2.44
O (0.1080, 0.8920, 0.5403)  1 Cu 1.83, 1 Li 1.93
O (0.6066, 0.3934, 0.0321)  2 Cu 1.85-1.92
O (0.1774, 0.4626, 0.7861)  1 Li 2.37, 1 La 2.39
O (0.9570, 0.6713, 0.7143)  1 La 2.33, 1 Cu 2.45
O (0.9651, 0.0349, 0.8260)  1 Cu 1.83, 1 Li 1.93
O (0.7571, 0.6142, 0.8576)  1 La 2.32, 1 Cu 2.44
O (0.0353, 0.9647, 0.1741)  1 Cu 1.83, 1 Li 1.93
O (0.3226, 0.6774, 0.1071)  1 Cu 1.85, 1 Li 1.90
O (0.3199, 0.3199, 0.4992)  1 Li 2.37, 1 La 2.39
O (0.1000, 0.5287, 0.4284)  1 La 2.30, 1 Cu 2.44
O (0.5374, 0.8226, 0.7861)  1 Li 2.37, 1 La 2.39
O (0.2515, 0.1082, 0.3572)  1 La 2.37, 1 Li 2.37
O (0.3900, 0.6100, 0.4636)  1 Cu 1.83, 1 Li 1.93
O (0.8926, 0.1074, 0.4608)  1 Cu 1.84, 1 Li 1.92
O (0.2504, 0.7496, 0.2544)  1 Cu 1.83, 1 Li 1.93
O (0.8957, 0.1043, 0.9650)  1 Cu 1.83, 1 Li 1.93
O (0.4634, 0.5366, 0.3176)  1 Cu 1.84, 1 Li 1.91
O (0.6762, 0.3238, 0.8922)  1 Cu 1.84, 1 Li 1.92
O (0.2474, 0.7526, 0.7494)  1 Cu 1.83, 1 Li 1.93
O (0.8223, 0.1777, 0.1109)  1 Cu 1.84, 1 Li 1.91
O (0.0342, 0.6061, 0.0714)  1 La 2.37, 1 Li 2.37
O (0.8222, 0.5365, 0.2143)  1 Cu 2.36, 1 La 2.39
O (0.1047, 0.8953, 0.0355)  1 Cu 1.83, 1 Li 1.92
O (0.8145, 0.8143, 0.0001)  1 La 2.30, 1 Cu 2.44
La (0.2196, 0.5053, 0.2854)  1 O 2.32
La (0.8557, 0.4250, 0.0693)  3 O 2.37-2.62
La (0.5672, 0.7094, 0.6430)  5 O 2.39-2.62
La (0.0762, 0.6477, 0.5717)  1 O 2.32
La (0.6485, 0.0730, 0.4316)  1 O 2.30
La (0.4947, 0.7804, 0.2854)  1 O 2.32
La (0.3523, 0.9238, 0.5717)  1 O 2.32
La (0.1384, 0.1384, 0.4999)  5 O 2.39-2.62
La (0.5750, 0.1443, 0.0693)  3 O 2.37-2.62
La (0.2817, 0.9960, 0.2143)  5 O 2.39-2.62
La (0.0662, 0.2090, 0.1432)  1 O 2.32
La (0.9951, 0.2815, 0.7856)  5 O 2.39-2.62
La (0.8616, 0.8616, 0.4999)  5 O 2.39-2.62
La (0.0040, 0.7183, 0.2143)  5 O 2.39-2.62
La (0.9334, 0.7905, 0.8568)  1 O 2.32
La (0.4300, 0.2893, 0.3592)  3 O 2.37-2.62
La (0.2906, 0.4328, 0.6430)  5 O 2.39-2.62
La (0.6372, 0.6413, 0.9970)  1 O 2.30
La (0.7801, 0.4944, 0.7143)  1 O 2.33
La (0.3587, 0.3628, 0.9970)  1 O 2.30
La (0.4241, 0.8527, 0.9286)  5 O 2.39-2.62
La (0.5056, 0.2199, 0.7143)  1 O 2.33
La (0.1473, 0.5759, 0.9286)  5 O 2.39-2.62
La (0.9270, 0.3515, 0.4316)  1 O 2.30
La (0.2095, 0.0666, 0.8568)  1 O 2.32
La (0.7910, 0.9338, 0.1432)  1 O 2.32
La (0.7185, 0.0049, 0.7856)  5 O 2.39-2.62
La (0.7107, 0.5700, 0.3592)  3 O 2.37-2.62
Cu (0.7146, 0.2854, 0.5723)  4 O 1.84-1.85
Cu (0.6429, 0.3571, 0.2143)  4 O 1.92
Cu (0.0002, 0.9998, 0.0001)  4 O 1.83
Cu (0.5712, 0.4288, 0.8562)  4 O 1.84-1.85
Cu (0.8578, 0.1422, 0.2859)  4 O 1.84-1.85
Cu (0.4280, 0.5720, 0.1426)  4 O 1.84-1.85
Cu (0.1429, 0.8571, 0.7143)  4 O 1.83
Cu (0.2855, 0.7145, 0.4285)  4 O 1.83
Li (0.7857, 0.2143, 0.9290)  4 O 1.91-1.93
Li (0.3573, 0.6427, 0.7859)  4 O 1.91-1.93
Li (0.5000, 0.5000, 0.4996)  4 O 1.91-1.93
Li (0.2141, 0.7859, 0.0713)  4 O 1.90-1.93
Li (0.0716, 0.9284, 0.3573)  4 O 1.90-1.93
Li (0.9284, 0.0716, 0.6427)  4 O 1.91-1.93

mass density = 6.813 Mg/m³
energy relative to the elements = -153.7 eV/f.u.
electronic total energy = -728.50 eV/cell

---

[3]
VASP calculation (PBE) on crystalline LiLa8Cu3O16 at its relaxed geometry.

a = 7.0910 Å, b = 7.5723 Å, c = 8.4585 Å
α = 116.44°, β = 96.89°, γ = 105.59°
Closest atoms and distances in Å follow each position.
Sites, in units of the cell vectors:
Cu (0.9971, 0.0022, 0.9975)  4 O 1.85-1.94
Cu (0.0010, 0.4982, 0.0013)  4 O 1.87-1.90
Cu (0.0003, 0.2499, 0.5003)  4 O 1.82-1.91
O (0.3688, 0.2121, 0.5824)  3 O 2.52-2.72, 4 La 2.52-2.75, 1 Cu 2.75
O (0.9971, 0.2476, 0.0007)  2 Cu 1.85-1.89
O (0.9957, 0.6301, 0.2465)  1 Cu 1.87, 1 Li 1.92, 2 La 1.99-2.03
O (0.0046, 0.8721, 0.7530)  1 Cu 1.87, 1 Li 1.90, 2 La 2.02-2.03
O (0.6292, 0.0539, 0.8980)  3 O 2.44-2.73, 3 La 2.48-2.66
O (0.0069, 0.4954, 0.5006)  1 Cu 1.85, 1 Li 1.94
O (0.9970, 0.3753, 0.7500)  2 Cu 1.90, 2 La 1.96-2.04
O (0.9964, 0.7477, 0.0005)  2 Cu 1.90-1.94
O (0.3623, 0.7048, 0.5925)  1 O 2.40, 2 La 2.46-2.57
O (0.6285, 0.2937, 0.4111)  3 La 2.50-2.63, 3 O 2.53-2.74, 1 Cu 2.80
O (0.3707, 0.4501, 0.0894)  3 La 2.46-2.70, 3 O 2.50-2.74
O (0.0040, 0.1266, 0.2496)  2 Cu 1.90-1.91, 2 La 1.93-2.05
O (0.9933, 0.0065, 0.4986)  1 Cu 1.82, 1 Li 1.97
O (0.3679, 0.9579, 0.0852)  3 O 2.50-2.74, 3 La 2.52-2.74, 1 Cu 2.79
O (0.6337, 0.5462, 0.9031)  1 O 2.43, 3 La 2.46-2.70
O (0.6348, 0.8010, 0.4014)  2 La 2.38-2.55, 1 O 2.41
La (0.2764, 0.3284, 0.3263)  1 O 1.93
La (0.2746, 0.8407, 0.3203)  1 O 1.99
La (0.7234, 0.6575, 0.6814)  1 O 2.02
La (0.7232, 0.4021, 0.1832)  1 O 2.03
La (0.2771, 0.0987, 0.8179)  1 O 2.03
La (0.2781, 0.5925, 0.8153)  1 O 2.04
La (0.7224, 0.9074, 0.1861)  1 O 2.05
La (0.7222, 0.1692, 0.6759)  1 O 1.96
Li (0.0007, 0.7496, 0.5006)  4 O 1.90-1.97

mass density = 6.906 Mg/m³
energy relative to the elements = -61.6 eV/f.u.
electronic total energy = -183.45 eV/cell
polymorph energy (0 for the lowest one) = 0.874 eV per atom

---

Question: Which of these has the lowest energy relative to the elements?
Answer: Li3La14Cu4O28

---

Question: What is the formula in the third record?
Answer: LiLa8Cu3O16